Entry from the Materials Project database: ZrGeRu after structural relaxation (PBE).

```
ZrGeRu
1.0
-2.297 -6.400 3.760
-7.538 1.754 0.687
4.245 -0.346 -6.499
Ru Ge Zr
6 6 6
direct
0.500 0.747 0.247 Ru
0.905 0.257 0.408 Ru
0.651 0.503 0.908 Ru
0.000 0.747 0.747 Ru
0.349 0.257 0.852 Ru
0.095 0.503 0.352 Ru
0.275 0.522 0.747 Ge
0.725 0.472 0.247 Ge
0.672 0.172 0.509 Ge
0.162 0.172 0.000 Ge
0.838 0.837 0.009 Ge
0.328 0.837 0.500 Ge
0.053 0.506 0.953 Zr
0.530 0.508 0.478 Zr
0.947 0.900 0.453 Zr
0.252 0.088 0.336 Zr
0.748 0.084 0.836 Zr
0.470 0.948 0.978 Zr
```

## Properties
**Symmetry**: Ima2 (46)
**Calculated density**: 8.73 g/cm3
**Calculated formation energy**: -0.790 eV per atom
**Crystal system**: orthorhombic

---

Entry from the Materials Project database: MoS2 after structural relaxation (PBE).

```
MoS2
1.0
1.595 -2.763 0.000
1.595 2.763 0.000
0.000 0.000 24.879
S Mo
4 2
direct
0.333 0.667 0.212 S
0.667 0.333 0.788 S
0.667 0.333 0.913 S
0.333 0.667 0.087 S
0.333 0.667 0.850 Mo
0.667 0.333 0.150 Mo
```

## Properties
**Symmetry**: P-3m1 (164)
**Calculated density**: 2.42 g/cm3
**Calculated formation energy**: -1.200 eV per atom
**Crystal system**: trigonal